Record 1
# Li3MnCoO5

Crystalline Li3MnCoO5 at its relaxed geometry (PBE+U, the Materials Project database).

Cell lengths 2.9731, 5.0752, 12.5056 Å; angles 101.08, 88.22, 103.68 degrees
Closest atoms and distances in Å follow each position.
Positions (direct):
Li 0.3145 0.6098 0.1030  5 O 2.06-2.14
Li 0.8987 0.8041 0.2994  6 O 2.09-2.20
Li 0.5068 0.9978 0.5040  6 O 1.99-2.18
Li 0.0983 0.1901 0.7022  6 O 2.06-2.20
Li 0.6703 0.3874 0.8898  5 O 2.01-2.22
Li 0.4184 0.8168 0.7995  5 O 1.99-2.17
Mn 0.9943 0.9984 0.9943  6 O 1.83-2.04
Mn 0.2025 0.4003 0.4014  4 O 1.94-1.99
Co 0.5837 0.1933 0.1996  4 O 1.92-1.95
Co 0.8131 0.6062 0.6095  2 O 1.74-1.86
O 0.6039 0.2620 0.0513  1 Co 1.95, 2 Mn 1.99-2.04, 1 Li 2.13
O 0.2658 0.4800 0.2514  1 Co 1.92, 1 Mn 1.99, 1 Li 2.08
O 0.8717 0.6848 0.4590  1 Mn 1.95, 1 Co 1.99, 2 Li 2.11-2.17
O 0.4672 0.8721 0.6456  1 Co 1.86, 2 Li 1.99
O 0.0577 0.1076 0.8620  1 Mn 1.83, 3 Li 2.01-2.05
O 0.9251 0.9191 0.1462  1 Co 1.92, 1 Mn 2.01, 3 Li 2.10-2.14
O 0.5272 0.1086 0.3440  1 Co 1.93, 1 Mn 1.97, 2 Li 2.09-2.14
O 0.1381 0.3184 0.5469  1 Mn 1.94, 1 Co 1.96, 2 Li 2.15
O 0.7482 0.5005 0.7342  1 Co 1.74
O 0.3947 0.7426 0.9568  2 Mn 1.95, 3 Li 2.06-2.17

Values from the calculation:
- E_tot: -5.892 eV/atom
- E_form: -1892 meV/atom
- Energy above the most stable polymorph in this dataset: 0.068 eV per atom

=====

Record 2
# Li7Mn2Co3O12

Crystalline Li7Mn2Co3O12 at its relaxed geometry (PBE+U, the Materials Project database).

Cell lengths 5.1383, 5.9302, 7.7453 Å; angles 77.07, 75.62, 71.25 degrees
Closest atoms and distances in Å follow each position.
Positions (direct):
Li 0.9870 0.5049 0.0103  6 O 2.05-2.26
Li 0.9989 0.8331 0.6653  6 O 2.05-2.17
Li 0.5035 0.3408 0.1708  5 O 2.08-2.22
Li 0.5067 0.6731 0.8403  5 O 2.03-2.24
Li 0.0109 0.1615 0.3267  6 O 2.06-2.24
Li 0.4928 0.9877 0.4872  5 O 2.04-2.19
Li 0.5009 0.8329 0.1676  6 O 2.05-2.22
Mn 0.0005 0.9988 0.0006  6 O 1.90-1.98
Mn 0.9994 0.3359 0.6649  6 O 1.91-1.96
Co 0.0010 0.6687 0.3303  6 O 1.99-2.09
Co 0.4999 0.1649 0.8367  4 O 1.89-1.97
Co 0.4996 0.5016 0.4974  4 O 1.88-1.97
O 0.2237 0.6823 0.0763  1 Mn 1.91, 1 Co 2.01, 2 Li 2.03-2.05
O 0.2239 0.0147 0.7541  2 Mn 1.96-1.97, 3 Li 2.12-2.19, 1 Co 2.17
O 0.7500 0.5105 0.2740  2 Co 1.88-1.99, 3 Li 2.05-2.10
O 0.7537 0.8712 0.9191  1 Co 1.90, 1 Mn 1.95, 2 Li 2.05-2.07
O 0.2331 0.3256 0.4305  1 Mn 1.91, 2 Li 2.04-2.10, 1 Co 2.09
O 0.7449 0.1992 0.6016  1 Mn 1.95, 2 Co 1.95-1.97, 1 Li 2.16
O 0.7760 0.3242 0.9104  2 Mn 1.96-1.98, 3 Li 2.11-2.15, 1 Co 2.18
O 0.7660 0.6499 0.5912  1 Mn 1.91, 2 Li 2.06-2.10, 1 Co 2.08
O 0.2460 0.1510 0.0586  1 Co 1.89, 1 Mn 1.95, 2 Li 2.06-2.10
O 0.2542 0.4674 0.7327  1 Mn 1.94, 2 Co 1.95-1.97, 1 Li 2.17
O 0.7772 0.0027 0.2366  1 Mn 1.90, 1 Co 2.02, 3 Li 2.06-2.12
O 0.2502 0.7975 0.4168  2 Co 1.89-1.99, 2 Li 2.05

Values from the calculation:
- E_tot: -5.887 eV/atom
- E_form: -1891 meV/atom
- Energy above the most stable polymorph in this dataset: 0.042 eV per atom

=====

Record 3
# Li7Mn2Co3O12

Crystalline Li7Mn2Co3O12 at its relaxed geometry (PBE+U, the Materials Project database).

Cell lengths 7.8112, 7.8112, 11.7569 Å; angles 56.05, 56.05, 21.44 degrees
Closest atoms and distances in Å follow each position.
Positions (direct):
Li 0.6715 0.6715 0.7379  6 O 2.03-2.26
Li 0.9966 0.9966 0.2650  3 O 1.96-2.09
Li 0.3527 0.3527 0.7312  5 O 2.00-2.18
Li 0.6484 0.6484 0.2723  5 O 2.06-2.22
Li 0.0033 0.0033 0.7402  3 O 1.97-2.13
Li 0.3271 0.3271 0.2582  6 O 2.00-2.21
Li 0.0006 0.0006 0.4964  6 O 2.06-2.13
Mn 0.0001 0.0001 0.0006  6 O 1.93-1.95
Mn 0.3385 0.3385 0.4968  6 O 1.86-2.01
Co 0.6660 0.6660 0.0033  6 O 1.99-2.17
Co 0.3308 0.3308 0.9977  6 O 1.97-2.18
Co 0.6530 0.6530 0.5057  3 O 1.80-1.97
O 0.5027 0.5027 0.8879  2 Mn 1.95, 1 Li 2.15, 1 Co 2.18
O 0.8312 0.8312 0.3904  2 Mn 1.96, 3 Li 2.09-2.15
O 0.1522 0.1522 0.8979  1 Mn 1.93, 2 Co 2.00
O 0.4855 0.4855 0.3846  1 Mn 1.86, 5 Li 1.96-2.06
O 0.8352 0.8352 0.8807  3 Co 1.97-2.14, 3 Li 2.13-2.18
O 0.1693 0.1693 0.3821  2 Co 1.97, 4 Li 2.00-2.13
O 0.8320 0.8320 0.6125  2 Mn 1.95, 4 Li 2.03-2.16
O 0.1721 0.1721 0.1142  3 Co 1.99-2.00, 2 Li 2.22
O 0.5111 0.5111 0.6213  1 Co 1.80, 3 Li 1.97-2.00
O 0.8464 0.8464 0.1038  1 Mn 1.94, 2 Co 2.02
O 0.1792 0.1792 0.6056  1 Mn 2.01, 2 Co 2.05, 3 Li 2.08-2.22
O 0.4945 0.4945 0.1135  2 Mn 1.94, 1 Li 2.13

Values from the calculation:
- E_tot: -5.859 eV/atom
- E_form: -1864 meV/atom
- Energy above the most stable polymorph in this dataset: 0.070 eV per atom

=====

Record 4
# Li7Mn2Co3O12

Crystalline Li7Mn2Co3O12 at its relaxed geometry (PBE+U, the Materials Project database).

Cell lengths 5.8938, 5.9080, 6.4285 Å; angles 103.17, 103.05, 92.10 degrees
Closest atoms and distances in Å follow each position.
Positions (direct):
Li 0.9943 0.5024 0.0051  6 O 2.05-2.20
Li 0.3357 0.8307 0.3356  6 O 2.05-2.15
Li 0.1540 0.1752 0.6593  5 O 2.01-2.21
Li 0.5099 0.4919 0.0014  5 O 2.09-2.20
Li 0.6736 0.1684 0.6589  6 O 2.06-2.26
Li 0.8342 0.8339 0.3385  6 O 2.08-2.31
Li 0.8314 0.3360 0.3348  6 O 2.03-2.15
Mn 0.9938 0.0076 0.9986  6 O 1.92-1.99
Mn 0.3329 0.3340 0.3365  6 O 1.91-1.97
Co 0.6737 0.6615 0.6671  6 O 1.91-2.09
Co 0.5010 0.0004 0.0015  4 O 1.89-1.94
Co 0.1651 0.6643 0.6648  4 O 1.88-1.96
O 0.7672 0.7573 0.9930  1 Mn 1.94, 2 Co 1.98-2.17, 3 Li 2.05-2.16
O 0.0893 0.0885 0.3148  2 Mn 1.92-1.96, 4 Li 2.10-2.15
O 0.9166 0.4561 0.6672  2 Co 1.88-1.91, 2 Li 2.03-2.07
O 0.2369 0.7843 0.9847  2 Co 1.94-1.96, 1 Mn 1.99, 1 Li 2.15
O 0.4186 0.3978 0.6511  1 Mn 1.91, 3 Li 2.02-2.13, 1 Co 2.09
O 0.5563 0.0962 0.3108  1 Co 1.89, 1 Mn 1.97, 2 Li 2.06-2.07
O 0.2316 0.2540 0.0152  2 Mn 1.95-1.96, 3 Li 2.07-2.17
O 0.5717 0.5712 0.3441  1 Mn 1.93, 1 Co 1.97, 4 Li 2.09-2.16
O 0.4319 0.8760 0.6858  3 Co 1.93-1.95, 1 Li 2.14
O 0.7500 0.2149 0.9967  1 Co 1.91, 1 Mn 1.92, 2 Li 2.06-2.07
O 0.9201 0.9296 0.6805  1 Mn 1.93, 3 Li 2.01-2.08, 1 Co 2.08
O 0.1103 0.5679 0.3541  1 Co 1.90, 1 Mn 1.94, 2 Li 2.05-2.06

Values from the calculation:
- E_tot: -5.907 eV/atom
- E_form: -1911 meV/atom
- Energy above the most stable polymorph in this dataset: 0.022 eV per atom

=====

Record 5
# Li7Mn2Co3O12

Crystalline Li7Mn2Co3O12 at its relaxed geometry (PBE+U, the Materials Project database).

Cell lengths 7.7029, 7.7029, 12.0435 Å; angles 54.45, 54.45, 22.17 degrees
Closest atoms and distances in Å follow each position.
Positions (direct):
Li 0.4909 0.4909 0.2632  6 O 2.02-2.22
Li 0.8459 0.8459 0.7220  4 O 2.02-2.14
Li 0.1541 0.1541 0.2780  4 O 2.02-2.14
Li 0.5091 0.5091 0.7368  6 O 2.02-2.22
Li 0.1718 0.1718 0.7312  3 O 1.96-2.03
Li 0.8282 0.8282 0.2688  3 O 1.96-2.03
Li 0.5000 0.5000 0.5000  6 O 2.04-2.16
Mn 0.1657 0.1657 0.9995  6 O 1.88-1.99
Mn 0.8343 0.8343 0.0005  6 O 1.88-1.99
Co 0.1608 0.1608 0.4990  2 O 1.78-1.95
Co 0.5000 0.5000 0.0000  6 O 2.08-2.13
Co 0.8392 0.8392 0.5010  2 O 1.78-1.95
O 0.6744 0.6744 0.8883  2 Mn 1.95, 1 Co 2.13, 1 Li 2.14
O 0.9848 0.9848 0.3816  1 Co 1.78
O 0.3283 0.3283 0.8954  3 Mn 1.99, 1 Li 2.22
O 0.6674 0.6674 0.3809  4 Li 1.96-2.04, 2 Co 2.01
O 0.3209 0.3209 0.3894  3 Co 1.95-2.13, 3 Li 2.03-2.07
O 0.9885 0.9885 0.8876  1 Mn 1.88, 2 Co 2.08
O 0.3326 0.3326 0.6191  4 Li 1.96-2.04, 2 Co 2.01
O 0.6717 0.6717 0.1046  3 Mn 1.99, 1 Li 2.22
O 0.0152 0.0152 0.6184  1 Co 1.78
O 0.3256 0.3256 0.1117  2 Mn 1.95, 1 Co 2.13, 1 Li 2.14
O 0.0115 0.0115 0.1124  1 Mn 1.88, 2 Co 2.08
O 0.6791 0.6791 0.6106  3 Co 1.95-2.13, 3 Li 2.03-2.07

Values from the calculation:
- E_tot: -5.821 eV/atom
- E_form: -1826 meV/atom
- Energy above the most stable polymorph in this dataset: 0.108 eV per atom

=====

Record 6
# Li4Mn3CoO8

Crystalline Li4Mn3CoO8 at its relaxed geometry (PBE+U, the Materials Project database).

Cell lengths 5.1371, 5.1371, 10.9093 Å; angles 85.00, 85.00, 32.28 degrees
Closest atoms and distances in Å follow each position.
Positions (direct):
Li 0.2550 0.2550 0.1135  5 O 2.08-2.17
Li 0.7490 0.7490 0.3777  5 O 2.11-2.25
Li 0.2510 0.2510 0.6223  5 O 2.11-2.25
Li 0.7450 0.7450 0.8865  5 O 2.08-2.17
Mn 0.5093 0.5093 0.2417  4 O 1.96-1.97
Mn 0.0000 0.0000 0.5000  4 O 1.96
Mn 0.4907 0.4907 0.7583  4 O 1.96-1.97
Co 0.0000 0.0000 0.0000  6 O 1.99-2.15
O 0.3785 0.3785 0.9455  2 Co 1.99, 3 Li 2.08-2.11
O 0.8953 0.8953 0.1814  2 Mn 1.97, 1 Co 2.15, 2 Li 2.17
O 0.3842 0.3842 0.4436  2 Mn 1.96, 2 Li 2.12
O 0.8796 0.8796 0.6954  2 Mn 1.96, 2 Li 2.11
O 0.1204 0.1204 0.3046  2 Mn 1.96, 2 Li 2.11
O 0.6158 0.6158 0.5564  2 Mn 1.96, 2 Li 2.12
O 0.1047 0.1047 0.8186  2 Mn 1.97, 1 Co 2.15, 2 Li 2.17
O 0.6215 0.6215 0.0545  2 Co 1.99, 3 Li 2.08-2.11

Values from the calculation:
- E_tot: -6.359 eV/atom
- E_form: -2005 meV/atom
- Energy above the most stable polymorph in this dataset: 0.023 eV per atom

=====

Record 7
# Li3MnCoO5

Crystalline Li3MnCoO5 at its relaxed geometry (PBE+U, the Materials Project database).

Cell lengths 6.5260, 6.5260, 9.8945 Å; angles 79.99, 79.99, 25.86 degrees
Closest atoms and distances in Å follow each position.
Positions (direct):
Li 0.5020 0.5020 0.5089  4 O 2.05-2.13
Li 0.7058 0.7058 0.8841  4 O 2.01-2.18
Li 0.8874 0.8874 0.3215  4 O 2.00-2.17
Li 0.1063 0.1063 0.6837  4 O 1.98-2.10
Li 0.2973 0.2973 0.1085  6 O 2.01-2.23
Li 0.2016 0.2016 0.4013  6 O 2.10-2.15
Mn 0.9994 0.9994 0.0012  6 O 1.92-1.97
Mn 0.6052 0.6052 0.2053  3 O 1.80-1.92
Co 0.3979 0.3979 0.7927  6 O 1.95-2.16
Co 0.7900 0.7900 0.5890  3 O 1.81-2.00
O 0.2545 0.2545 0.7481  3 Co 1.95-2.14, 3 Li 2.01-2.10
O 0.4603 0.4603 0.1321  3 Mn 1.96-2.10, 1 Li 2.13
O 0.6553 0.6553 0.5527  1 Co 1.81, 2 Li 1.98
O 0.8626 0.8626 0.9451  1 Mn 1.92, 2 Co 2.09
O 0.0547 0.0547 0.3250  2 Mn 1.92, 2 Li 2.14
O 0.7391 0.7391 0.2410  1 Mn 1.80, 2 Li 2.01
O 0.9468 0.9468 0.6621  2 Co 1.98, 3 Li 2.08-2.13
O 0.1378 0.1378 0.0631  3 Mn 1.97-2.02, 1 Li 2.15
O 0.3518 0.3518 0.4602  4 Li 2.00-2.10, 2 Co 2.00
O 0.5444 0.5444 0.8744  2 Mn 1.94, 1 Li 2.07, 1 Co 2.16

Values from the calculation:
- E_tot: -5.905 eV/atom
- E_form: -1906 meV/atom
- Energy above the most stable polymorph in this dataset: 0.054 eV per atom